# Li3CoCu4O8 (PBE with a Hubbard U, optimized geometry)
data_Li3CoCu4O8
_symmetry_space_group_name_H-M 'C 1 2/m 1'
_symmetry_Int_Tables_number 12
_symmetry_space_group_name_Hall '-C 2y'
_cell_length_a 10.658
_cell_length_b 5.659
_cell_length_c 5.546
_cell_angle_alpha 90.00
_cell_angle_beta 119.27
_cell_angle_gamma 90.00
loop_
_atom_site_label
_atom_site_fract_x
_atom_site_fract_y
_atom_site_fract_z
Li1 0.000 0.000 0.000
Li2 0.250 0.250 0.500
Co1 0.000 0.500 0.500
Cu1 0.000 0.000 0.500
Cu2 0.000 0.500 0.000
Cu3 0.250 0.250 0.000
O1 0.027 0.270 0.272
O2 0.205 0.500 0.738
O3 0.206 0.000 0.741
# E_form (kJ per mole of atoms): -131
# E (eV per formula unit): -83.39

---

# LiCoCuO4 (PBE with a Hubbard U, optimized geometry)
data_LiCoCuO4
_symmetry_space_group_name_H-M 'P 1 2/m 1'
_symmetry_Int_Tables_number 10
_symmetry_space_group_name_Hall '-P 2y'
_cell_length_a 5.002
_cell_length_b 2.827
_cell_length_c 5.231
_cell_angle_alpha 90.00
_cell_angle_beta 112.89
_cell_angle_gamma 90.00
loop_
_atom_site_label
_atom_site_fract_x
_atom_site_fract_y
_atom_site_fract_z
Li1 0.000 0.000 0.000
Co1 0.500 0.000 0.500
Cu1 0.000 0.500 0.500
O1 0.247 0.000 0.692
O2 0.265 0.500 0.276
# E_form (kJ per mole of atoms): -121
# E (eV per formula unit): -37.31

---

# Li3Co2CuO6 (PBE with a Hubbard U, optimized geometry)
data_Li3Co2CuO6
_symmetry_space_group_name_H-M 'C 1 2/m 1'
_symmetry_Int_Tables_number 12
_symmetry_space_group_name_Hall '-C 2y'
_cell_length_a 12.864
_cell_length_b 2.934
_cell_length_c 5.920
_cell_angle_alpha 90.00
_cell_angle_beta 103.60
_cell_angle_gamma 90.00
loop_
_atom_site_label
_atom_site_fract_x
_atom_site_fract_y
_atom_site_fract_z
Li1 0.000 0.000 0.000
Li2 0.162 0.500 0.335
Co1 0.164 0.500 0.835
Cu1 0.000 0.000 0.500
O1 0.006 0.500 0.738
O2 0.162 0.000 0.596
O3 0.174 0.000 0.070
# E_form (kJ per mole of atoms): -151
# E (eV per formula unit): -65.08

---

# Li3Co4CuO8 (PBE with a Hubbard U, optimized geometry)
data_Li3Co4CuO8
_symmetry_space_group_name_H-M 'C 1 2/m 1'
_symmetry_Int_Tables_number 12
_symmetry_space_group_name_Hall '-C 2y'
_cell_length_a 10.048
_cell_length_b 5.680
_cell_length_c 5.712
_cell_angle_alpha 90.00
_cell_angle_beta 122.49
_cell_angle_gamma 90.00
loop_
_atom_site_label
_atom_site_fract_x
_atom_site_fract_y
_atom_site_fract_z
Li1 0.000 0.000 0.000
Li2 0.250 0.250 0.500
Co1 0.000 0.000 0.500
Co2 0.000 0.500 0.000
Co3 0.250 0.250 0.000
Cu1 0.000 0.500 0.500
O1 0.021 0.257 0.773
O2 0.232 0.500 0.214
O3 0.242 0.000 0.224
# E_form (kJ per mole of atoms): -143
# E (eV per formula unit): -89.51

---

Question: Which of these has the lowest E_form?
Answer: Li3Co2CuO6

---

Question: What is the E_form in the third record?
Answer: -151 kJ per mole of atoms

---

Question: Which of these has the highest E?
Answer: LiCoCuO4

---

Question: Look up the E_form of the third one.
Answer: -151 kJ per mole of atoms